Entry 1:
SiO2 | PBE | optimized geometry

* ρ: 2.16 g cm⁻³
* size of the total moment: 0.00 μB per formula unit
* formation energy: -8.977 eV per formula unit
* VASP energy: -275.09 eV per cell
* piezoelectric modulus e_max: 0.1 C/m²

a b c (Å): 6.8662 6.8662 13.5881
angles (deg): 90.00 90.00 120.00
With the nearest neighbours (Å) after each atom.
Space group P6_422 (No. 181)
Inequivalent atoms, fractional coordinates:
Si  0.1773  0.4050  0.1178  4 O 1.58-1.68
O  0.0000  0.1835  0.8333  2 Si 1.68
O  0.0000  0.5000  0.1370  2 Si 1.66
O  0.1877  0.3753  0.0000  2 Si 1.62
O  0.2126  0.6063  0.8333  2 Si 1.58

---

Entry 2:
NdZrF7 | PBE | optimized geometry

* ρ: 3.95 g cm⁻³
* formation energy: -37.927 eV per formula unit
* VASP energy: -122.82 eV per cell

a b c (Å): 6.3190 5.8690 8.5214
angles (deg): 90.00 101.65 90.00
With the nearest neighbours (Å) after each atom.
Space group P2_1 (No. 4)
Inequivalent atoms, fractional coordinates:
Nd  0.1571  0.0000  0.1868  8 F 2.29-2.46
Zr  0.3116  0.9907  0.7240  6 F 2.04-2.06
F  0.0502  0.2004  0.7137  1 Zr 2.05
F  0.0501  0.3133  0.0256  2 Nd 2.29-2.31
F  0.1250  0.7021  0.7170  1 Zr 2.06
F  0.2562  0.9941  0.4799  1 Zr 2.04
F  0.3580  0.9862  0.9685  1 Zr 2.04
F  0.4311  0.2769  0.2690  1 Zr 2.05
F  0.4684  0.7516  0.2608  1 Zr 2.05

---

Entry 3:
In3Sn | PBE | optimized geometry

* ρ: 6.95 g cm⁻³
* formation energy: 0.133 eV per formula unit
* VASP energy: -12.13 eV per cell

a b c (Å): 4.8000 4.8000 4.8000
angles (deg): 90.00 90.00 90.00
With the nearest neighbours (Å) after each atom.
Space group Pm-3m (No. 221)
Inequivalent atoms, fractional coordinates:
In  0.0000  0.0000  0.5000  8 In 3.39, 4 Sn 3.39
Sn  0.5000  0.5000  0.5000  12 In 3.39

---

Entry 4:
Si2H2O3 | PBE | optimized geometry

* ρ: 1.88 g cm⁻³
* size of the total moment: 0.00 μB per formula unit
* formation energy: -10.695 eV per formula unit
* VASP energy: -411.14 eV per cell

a b c (Å): 8.4040 10.0594 12.9229
angles (deg): 85.93 71.10 65.39
With the nearest neighbours (Å) after each atom.
Space group P1 (No. 1)
Inequivalent atoms, fractional coordinates:
Si  0.0000  0.0000  0.0000  2 O 1.66-1.86
Si  0.0082  0.1292  0.5867  2 O 1.66-1.80
Si  0.0445  0.8724  0.7356  2 O 1.70-1.73
Si  0.0632  0.6271  0.0956  2 O 1.65-1.78
Si  0.1437  0.3634  0.2382  2 O 1.71-1.73
Si  0.1554  0.6235  0.5023  2 O 1.66-1.81
Si  0.2962  0.8433  0.3518  2 O 1.65-1.70
Si  0.3019  0.3408  0.8506  2 O 1.65-1.69
Si  0.4022  0.2325  0.5034  1 O 1.64
Si  0.4619  0.7420  0.7306  1 H 1.48, 2 O 1.61-1.63
Si  0.5103  0.1216  0.9994  2 O 1.67-1.80
Si  0.5359  0.4629  0.1596  2 O 1.70-1.86
Si  0.5617  0.9842  0.3072  2 O 1.66-1.74
Si  0.6319  0.9679  0.6613  2 O 1.69-1.85
Si  0.6556  0.7307  0.0056  1 O 1.65
Si  0.7219  0.2600  0.9062  3 O 1.77-1.83
Si  0.7775  0.5046  0.4984  2 O 1.66-1.84
Si  0.8570  0.2406  0.2285  1 H 1.47, 2 O 1.62
Si  0.8962  0.7577  0.4099  3 O 1.75-1.83
Si  0.9385  0.4870  0.8061  2 O 1.66-1.73
H  0.0147  0.6466  0.6876  1 O 1.02
H  0.0216  0.1224  0.4016  1 O 0.98
H  0.0801  0.3243  0.5308  1 O 1.00
H  0.2463  0.6261  0.9136  1 O 0.99
H  0.3126  0.9193  0.9849  1 O 0.98
H  0.4440  0.1382  0.1855  1 O 1.02
H  0.4489  0.2163  0.6746  1 O 1.00
H  0.4502  0.7150  0.1759  1 O 1.00
H  0.4544  0.4607  0.9966  1 O 1.01
H  0.5018  0.7233  0.8355  1 Si 1.48
H  0.5652  0.4206  0.4808  1 O 0.98
H  0.6055  0.7527  0.4319  1 O 1.06
H  0.6591  0.4955  0.7012  1 O 0.99
H  0.7268  0.2276  0.3327  1 Si 1.47
H  0.8536  0.8215  0.0393  1 O 1.00
H  0.8640  0.2981  0.7268  1 O 1.04
H  0.8785  0.9599  0.4955  1 O 1.00
H  0.9065  0.7928  0.2290  1 O 1.05
H  0.9199  0.9962  0.2032  1 O 0.99
H  0.9931  0.2469  0.9378  1 O 1.02
O  0.0291  0.2509  0.2532  2 Si 1.62-1.73
O  0.0480  0.0497  0.4556  1 H 0.98
O  0.0574  0.7162  0.6375  1 H 1.02
O  0.0683  0.4681  0.1394  2 Si 1.65-1.71
O  0.0848  0.3603  0.8686  1 H 1.68, 2 Si 1.69-1.73
O  0.1180  0.9711  0.6336  2 Si 1.66-1.70
O  0.1696  0.2246  0.5400  1 H 1.00
O  0.2159  0.9852  0.9556  1 H 0.98
O  0.2376  0.5516  0.9667  1 H 0.99
O  0.2549  0.7580  0.7518  2 Si 1.61-1.73
O  0.2646  0.7289  0.4458  2 Si 1.65-1.66
O  0.3473  0.2254  0.9449  2 Si 1.65-1.67
O  0.3815  0.2088  0.1353  1 H 1.02
O  0.4662  0.1373  0.6240  1 H 1.00
O  0.4758  0.8605  0.3742  1 H 1.53, 1 Si 1.70
O  0.5176  0.8650  0.6590  2 Si 1.63-1.69
O  0.5217  0.0880  0.4153  2 Si 1.64-1.66
O  0.5614  0.6365  0.1235  1 H 1.00
O  0.5768  0.4097  0.0097  1 H 1.01
O  0.6154  0.5765  0.6551  1 H 0.99
O  0.6165  0.4934  0.4563  1 H 0.98
O  0.7253  0.6914  0.4537  1 H 1.06
O  0.7588  0.3634  0.1547  2 Si 1.62-1.70
O  0.7714  0.5853  0.9172  2 Si 1.65-1.66
O  0.7920  0.9108  0.5118  1 H 1.00
O  0.8142  0.8599  0.3011  1 H 1.05
O  0.8157  0.3623  0.7994  1 H 1.04
O  0.8550  0.7213  0.0471  1 H 1.00
O  0.9138  0.1886  0.9544  1 H 1.02
O  0.9387  0.0738  0.1560  1 H 0.99

---

Entry 5:
KH2SeNO3 | PBE | optimized geometry

* ρ: 2.62 g cm⁻³
* size of the total moment: 0.00 μB per formula unit
* formation energy: -8.234 eV per formula unit
* VASP energy: -162.98 eV per cell

a b c (Å): 8.1843 7.4414 7.6370
angles (deg): 90.00 96.40 90.00
With the nearest neighbours (Å) after each atom.
Space group P2_1/c (No. 14)
Inequivalent atoms, fractional coordinates:
K  0.1469  0.1247  0.3848  6 O 2.79-2.90
H  0.3984  0.6728  0.7738  1 N 1.04
H  0.4730  0.1763  0.1154  1 N 1.04
Se  0.2500  0.6059  0.4049  3 O 1.66-1.67, 1 N 1.83
N  0.4246  0.7423  0.8913  2 H 1.04
O  0.0890  0.7412  0.4032  1 Se 1.66
O  0.2259  0.0412  0.7406  1 Se 1.66
O  0.2955  0.0022  0.0960  1 Se 1.67

---

Entry 6:
K4P2O7 | PBE | optimized geometry

* ρ: 2.32 g cm⁻³
* formation energy: -33.955 eV per formula unit
* VASP energy: -158.10 eV per cell

a b c (Å): 6.0056 6.0056 15.1080
angles (deg): 90.00 90.00 120.00
With the nearest neighbours (Å) after each atom.
Space group P6_3/mmc (No. 194)
Inequivalent atoms, fractional coordinates:
K  0.0000  0.0000  0.0000  6 O 2.64
K  0.0000  0.0000  0.2500  6 O 2.85
K  0.3333  0.6667  0.0841  9 O 3.05-3.35
P  0.3333  0.6667  0.6428  4 O 1.53-1.62
O  0.1915  0.3831  0.6148  1 P 1.53
O  0.3333  0.6667  0.7500  2 P 1.62

---

Entry 7:
GaPt3 | PBE | optimized geometry

* ρ: 17.19 g cm⁻³
* size of the total moment: 0.00 μB per formula unit
* formation energy: -1.264 eV per formula unit
* VASP energy: -90.02 eV per cell

a b c (Å): 6.6588 6.6588 5.7063
angles (deg): 90.00 90.00 90.00
With the nearest neighbours (Å) after each atom.
Space group P4/mbm (No. 127)
Inequivalent atoms, fractional coordinates:
Ga  0.0000  0.5000  0.2428  6 Pt 2.57-2.85, 1 Ga 2.77
Pt  0.0000  0.0000  0.2522  10 Pt 2.76-2.88
Pt  0.2241  0.2759  0.5000  2 Ga 2.57, 6 Pt 2.76-2.88
Pt  0.2361  0.7361  0.0000  4 Ga 2.62-2.85, 6 Pt 2.76-2.88

---

Entry 8:
Zr2Al3C5 | PBE | optimized geometry

* ρ: 4.74 g cm⁻³
* size of the total moment: 0.00 μB per formula unit
* formation energy: -0.594 eV per formula unit
* VASP energy: -150.14 eV per cell

a b c (Å): 3.2558 3.2558 24.6623
angles (deg): 90.00 90.00 120.00
With the nearest neighbours (Å) after each atom.
Space group P6_3/mmc (No. 194)
Inequivalent atoms, fractional coordinates:
Zr  0.3333  0.6667  0.0560  6 C 2.33-2.36
Al  0.0000  0.0000  0.1525  3 C 2.10
Al  0.3333  0.6667  0.7500  6 C 2.04
C  0.0000  0.0000  0.0000  6 Zr 2.33
C  0.3333  0.6667  0.2178  1 C 1.59
C  0.3333  0.6667  0.6142  3 Al 2.10

---

Entry 9:
KLaAlBiO6 | PBE | optimized geometry

* ρ: 6.52 g cm⁻³
* size of the total moment: 0.00 μB per formula unit
* formation energy: -24.729 eV per formula unit
* VASP energy: -255.91 eV per cell

a b c (Å): 8.0370 8.0370 8.0370
angles (deg): 90.00 90.00 90.00
With the nearest neighbours (Å) after each atom.
Space group F-43m (No. 216)
Inequivalent atoms, fractional coordinates:
K  0.0000  0.0000  0.0000  12 O 2.84
La  0.0000  0.0000  0.5000  12 O 2.84
Al  0.2500  0.2500  0.2500  6 O 1.92
Bi  0.2500  0.2500  0.7500  6 O 2.10
O  0.0116  0.2500  0.2500  1 Al 1.92, 1 Bi 2.10

---

Entry 10:
Ba5P3O13 | PBE | optimized geometry

* ρ: 4.54 g cm⁻³
* size of the total moment: 1.00 μB per formula unit
* formation energy: -67.080 eV per formula unit
* VASP energy: -296.62 eV per cell

a b c (Å): 10.3411 10.3411 7.8073
angles (deg): 90.00 90.00 120.00
With the nearest neighbours (Å) after each atom.
Space group P6_3 (No. 173)
Inequivalent atoms, fractional coordinates:
Ba  0.0177  0.7602  0.0000  7 O 2.69-2.96
Ba  0.3333  0.6667  0.2471  9 O 2.78-3.04
Ba  0.3333  0.6667  0.7459  6 O 2.71-2.74
P  0.0323  0.6302  0.4946  4 O 1.56
O  0.0000  0.0000  0.3994  3 Ba 2.69
O  0.0751  0.7347  0.6544  1 P 1.56
O  0.0839  0.7310  0.3312  1 P 1.56
O  0.1183  0.5421  0.5020  1 P 1.56
O  0.1393  0.4802  0.9908  1 P 1.56

---

Entry 11:
Rb3NdN6 | PBE | optimized geometry

* ρ: 2.80 g cm⁻³
* size of the total moment: 12.00 μB per formula unit
* formation energy: 12.790 eV per formula unit
* VASP energy: -256.64 eV per cell

a b c (Å): 11.8543 11.8543 14.1539
angles (deg): 90.00 90.00 120.00
With the nearest neighbours (Å) after each atom.
Space group R32 (No. 155, hexagonal axes)
Inequivalent atoms, fractional coordinates:
Rb  0.0000  0.3435  0.0000  6 N 3.06-3.18
Rb  0.0000  0.6648  0.5000  6 N 3.03-3.17
Nd  0.0000  0.0000  0.2462  6 N 2.38-2.39
N  0.0240  0.8463  0.6593  1 Nd 2.39
N  0.0250  0.1827  0.1590  1 Nd 2.38

---

Entry 12:
KTb2F7 | PBE | optimized geometry

* ρ: 5.57 g cm⁻³
* formation energy: -42.140 eV per formula unit
* VASP energy: -501.50 eV per cell

a b c (Å): 14.5341 8.1270 12.1235
angles (deg): 90.00 125.30 90.00
With the nearest neighbours (Å) after each atom.
Space group C2/m (No. 12)
Inequivalent atoms, fractional coordinates:
K  0.2312  0.0000  0.1548  5 F 2.65-2.78
K  0.2383  0.5000  0.4804  10 F 2.68-2.95
Tb  0.0000  0.2594  0.5000  8 F 2.24-2.45
Tb  0.0027  0.2374  0.1813  8 F 2.21-2.47
Tb  0.2417  0.0000  0.8201  8 F 2.23-2.43
F  0.0000  0.1789  0.0000  2 Tb 2.23
F  0.0062  0.5000  0.2323  2 Tb 2.21
F  0.1015  0.2316  0.4155  2 Tb 2.24-2.33
F  0.1037  0.0000  0.5864  3 Tb 2.34-2.45, 3 F 2.49-2.59
F  0.1061  0.0000  0.2489  2 Tb 2.29
F  0.1057  0.5000  0.5767  2 Tb 2.32, 1 F 2.51
F  0.1123  0.0000  0.8835  3 Tb 2.37-2.41, 1 F 2.60
F  0.1177  0.2386  0.7364  3 Tb 2.35-2.47, 2 F 2.59-2.60
F  0.1613  0.3341  0.0013  2 Tb 2.23-2.26
F  0.1730  0.3281  0.2400  2 Tb 2.25-2.27